1.
## ErPS (r2SCAN)

Data for a relaxed ErPS crystal.

Cell lengths 5.2999, 5.2773, 16.5691 Å; angles 90.00, 90.00, 90.00 degrees
Last column: nearest neighbours and their distance in Å.
Space group Pnma (No. 62)
Unique sites:
Er  0.0138  0.2500  0.1464  5 S 2.71-2.80, 2 P 2.88
Er  0.0162  0.7500  0.3617  5 S 2.75-2.86, 2 P 3.06
P  0.2077  0.5376  0.9973  2 P 2.24
S  0.0103  0.2500  0.3155  5 Er 2.71-2.80
S  0.0149  0.7500  0.1890  5 Er 2.73-2.86

Results
Its raw total energy is -18.75 eV per atom. As for the total moment: 0.0 μB/f.u.

2.
## ErTl2P2Se7 (r2SCAN)

Data for a relaxed ErTl2P2Se7 crystal.

Cell lengths 24.0027, 7.0096, 19.1484 Å; angles 90.00, 119.14, 90.00 degrees
Last column: nearest neighbours and their distance in Å.
Space group C2/c (No. 15)
Unique sites:
Er  0.1612  0.0527  0.2405  7 Se 2.88-3.09
Tl  0.0034  0.4624  0.8720  8 Se 3.31-3.66
Tl  0.1723  0.0066  0.0192  3 Se 3.16-3.27
P  0.0470  0.0326  0.3066  3 Se 2.15-2.19, 1 P 2.24
P  0.1699  0.4877  0.6418  4 Se 2.19-2.22
Se  0.0239  0.0289  0.4022  1 P 2.15
Se  0.0972  0.2891  0.3021  1 P 2.19
Se  0.1012  0.2127  0.8021  1 P 2.18
Se  0.1025  0.2717  0.0910  1 P 2.21
Se  0.1093  0.2295  0.6107  1 P 2.21
Se  0.2248  0.4494  0.2716  1 P 2.22
Se  0.2376  0.4734  0.5963  1 P 2.19

Results
Its raw total energy is -22.25 eV per atom. As for the total moment: 0.0 μB/f.u.

3.
## ErPaRu2 (r2SCAN)

Data for a relaxed ErPaRu2 crystal.

Cell lengths 6.7880, 6.7880, 6.7880 Å; angles 90.00, 90.00, 90.00 degrees
Last column: nearest neighbours and their distance in Å.
Space group Fm-3m (No. 225)
Unique sites:
Er  0.0000  0.0000  0.0000  8 Ru 2.94
Pa  0.0000  0.0000  0.5000  8 Ru 2.94
Ru  0.2500  0.2500  0.2500  4 Pa 2.94, 4 Er 2.94

Results
Its raw total energy is -40.89 eV per atom. As for the total moment: 0.1 μB/f.u.

4.
## Er3Pd4 (r2SCAN)

Data for a relaxed Er3Pd4 crystal.

Cell lengths 13.0165, 13.0165, 5.6810 Å; angles 90.00, 90.00, 120.00 degrees
Last column: nearest neighbours and their distance in Å.
Space group R-3 (No. 148, hexagonal axes)
Unique sites:
Er  0.0408  0.2109  0.2354  8 Pd 2.83-3.09
Pd  0.0000  0.0000  0.0000  2 Pd 2.84, 6 Er 2.85
Pd  0.0000  0.0000  0.5000  2 Pd 2.84, 6 Er 2.94
Pd  0.0514  0.2682  0.7205  6 Er 2.83-3.09, 3 Pd 2.90-2.96

Results
Its raw total energy is -28.65 eV per atom. As for the total moment: 0.0 μB/f.u.

5.
## ErPd3 (r2SCAN)

Data for a relaxed ErPd3 crystal.

Cell lengths 4.0687, 4.0687, 4.0687 Å; angles 90.00, 90.00, 90.00 degrees
Last column: nearest neighbours and their distance in Å.
Space group Pm-3m (No. 221)
Unique sites:
Er  0.0000  0.0000  0.0000  12 Pd 2.88
Pd  0.0000  0.5000  0.5000  8 Pd 2.88, 4 Er 2.88

Results
Its raw total energy is -26.65 eV per atom. As for the total moment: 0.0 μB/f.u.

6.
## Er3Pd2 (r2SCAN)

Data for a relaxed Er3Pd2 crystal.

Cell lengths 7.6561, 7.6561, 3.9288 Å; angles 90.00, 90.00, 90.00 degrees
Last column: nearest neighbours and their distance in Å.
Space group P4/mbm (No. 127)
Unique sites:
Er  0.0000  0.0000  0.0000  4 Pd 2.98
Er  0.1636  0.3364  0.5000  6 Pd 2.94-3.02
Pd  0.1345  0.6345  0.0000  1 Pd 2.91, 8 Er 2.94-3.02

Results
Its raw total energy is -30.32 eV per atom. As for the total moment: 0.0 μB/f.u.

7.
## ErPd2 (r2SCAN)

Data for a relaxed ErPd2 crystal.

Cell lengths 3.9235, 3.9235, 8.1776 Å; angles 90.00, 90.00, 90.00 degrees
Last column: nearest neighbours and their distance in Å.
Space group I4/mmm (No. 139)
Unique sites:
Er  0.0000  0.0000  0.0000  8 Pd 2.83
Pd  0.0000  0.5000  0.2500  4 Pd 2.77, 4 Er 2.83

Results
Its raw total energy is -27.27 eV per atom. As for the total moment: 0.0 μB/f.u.

8.
## PmErPd2 (r2SCAN)

Data for a relaxed PmErPd2 crystal.

Cell lengths 7.0426, 7.0426, 7.0426 Å; angles 90.00, 90.00, 90.00 degrees
Last column: nearest neighbours and their distance in Å.
Space group Fm-3m (No. 225)
Unique sites:
Pm  0.0000  0.0000  0.0000  8 Pd 3.05
Er  0.0000  0.0000  0.5000  8 Pd 3.05
Pd  0.2500  0.2500  0.2500  4 Er 3.05, 4 Pm 3.05

Results
Its raw total energy is -28.21 eV per atom. As for the total moment: 0.0 μB/f.u.

9.
## Er2PdRu (r2SCAN)

Data for a relaxed Er2PdRu crystal.

Cell lengths 6.7885, 6.7885, 6.7885 Å; angles 90.00, 90.00, 90.00 degrees
Last column: nearest neighbours and their distance in Å.
Space group Fm-3m (No. 225)
Unique sites:
Er  0.2500  0.2500  0.2500  4 Ru 2.94, 4 Pd 2.94
Pd  0.0000  0.0000  0.0000  8 Er 2.94
Ru  0.0000  0.0000  0.5000  8 Er 2.94

Results
Its raw total energy is -29.80 eV per atom. As for the total moment: 0.0 μB/f.u.

10.
## ErPd3S4 (r2SCAN)

Data for a relaxed ErPd3S4 crystal.

Cell lengths 6.6521, 6.6521, 6.6521 Å; angles 90.00, 90.00, 90.00 degrees
Last column: nearest neighbours and their distance in Å.
Space group Pm-3n (No. 223)
Unique sites:
Er  0.0000  0.0000  0.0000  8 S 2.88
Pd  0.0000  0.2500  0.5000  4 S 2.35
S  0.2500  0.2500  0.2500  3 Pd 2.35

Results
Its raw total energy is -17.88 eV per atom. As for the total moment: 0.0 μB/f.u.

11.
## Er5SbPd2 (r2SCAN)

Data for a relaxed Er5SbPd2 crystal.

Cell lengths 7.6287, 7.6287, 13.5373 Å; angles 90.00, 90.00, 90.00 degrees
Last column: nearest neighbours and their distance in Å.
Space group I4/mcm (No. 140)
Unique sites:
Er  0.0000  0.0000  0.0000  4 Pd 2.96
Er  0.1556  0.3444  0.1426  3 Pd 2.95, 2 Sb 3.23
Sb  0.0000  0.0000  0.2500  10 Er 3.23-3.38
Pd  0.1371  0.3629  0.5000  8 Er 2.95-2.96, 1 Pd 2.96

Results
Its raw total energy is -31.01 eV per atom. As for the total moment: 0.0 μB/f.u.

12.
## ErSnPd (r2SCAN)

Data for a relaxed ErSnPd crystal.

Cell lengths 7.4893, 7.4893, 3.9343 Å; angles 90.00, 90.00, 120.00 degrees
Last column: nearest neighbours and their distance in Å.
Space group P-62m (No. 189)
Unique sites:
Er  0.0000  0.5950  0.0000  5 Pd 3.01-3.03, 6 Sn 3.18-3.31
Sn  0.0000  0.2607  0.5000  4 Pd 2.77-2.81
Pd  0.0000  0.0000  0.0000  6 Sn 2.77, 3 Er 3.03
Pd  0.3333  0.6667  0.5000  3 Sn 2.81, 6 Er 3.01

Results
Its raw total energy is -28.19 eV per atom. As for the total moment: 0.0 μB/f.u.

13.
## ErTlPd (r2SCAN)

Data for a relaxed ErTlPd crystal.

Cell lengths 7.7546, 7.7546, 3.7372 Å; angles 90.00, 90.00, 120.00 degrees
Last column: nearest neighbours and their distance in Å.
Space group P-62m (No. 189)
Unique sites:
Er  0.0000  0.5984  0.0000  5 Pd 3.01-3.11, 6 Tl 3.16-3.32
Tl  0.0000  0.2694  0.5000  4 Pd 2.80-2.87
Pd  0.0000  0.0000  0.0000  6 Tl 2.80, 3 Er 3.11
Pd  0.3333  0.6667  0.5000  3 Tl 2.87, 6 Er 3.01

Results
Its raw total energy is -37.40 eV per atom. As for the total moment: 0.0 μB/f.u.

14.
## ErTmPd2 (r2SCAN)

Data for a relaxed ErTmPd2 crystal.

Cell lengths 6.8906, 6.8906, 6.8906 Å; angles 90.00, 90.00, 90.00 degrees
Last column: nearest neighbours and their distance in Å.
Space group Fm-3m (No. 225)
Unique sites:
Er  0.0000  0.0000  0.0000  8 Pd 2.98
Tm  0.0000  0.0000  0.5000  8 Pd 2.98
Pd  0.2500  0.2500  0.2500  4 Er 2.98, 4 Tm 2.98

Results
Its raw total energy is -29.71 eV per atom. As for the total moment: 0.0 μB/f.u.

15.
## YbErPd2 (r2SCAN)

Data for a relaxed YbErPd2 crystal.

Cell lengths 6.8756, 6.8756, 6.8756 Å; angles 90.00, 90.00, 90.00 degrees
Last column: nearest neighbours and their distance in Å.
Space group Fm-3m (No. 225)
Unique sites:
Yb  0.0000  0.0000  0.0000  8 Pd 2.98
Er  0.0000  0.0000  0.5000  8 Pd 2.98
Pd  0.2500  0.2500  0.2500  4 Er 2.98, 4 Yb 2.98

Results
Its raw total energy is -30.07 eV per atom. As for the total moment: 0.0 μB/f.u.

16.
## PmEr3 (r2SCAN)

Data for a relaxed PmEr3 crystal.

Cell lengths 5.0145, 5.0145, 10.0030 Å; angles 90.00, 90.00, 90.00 degrees
Last column: nearest neighbours and their distance in Å.
Space group I4/mmm (No. 139)
Unique sites:
Pm  0.0000  0.0000  0.0000  12 Er 3.54-3.55
Er  0.0000  0.0000  0.5000  8 Er 3.54, 4 Pm 3.55
Er  0.0000  0.5000  0.2500  8 Er 3.54-3.55, 4 Pm 3.54

Results
The calculation puts the energy above the most stable polymorph in this dataset at 52 meV/atom. Its raw total energy is -32.77 eV per atom. As for the total moment: 0.0 μB/f.u.

17.
## Pm3Er (r2SCAN)

Data for a relaxed Pm3Er crystal.

Cell lengths 5.1144, 5.1144, 10.2280 Å; angles 90.00, 90.00, 90.00 degrees
Last column: nearest neighbours and their distance in Å.
Space group I4/mmm (No. 139)
Unique sites:
Pm  0.0000  0.0000  0.0000  8 Pm 3.62, 4 Er 3.62
Pm  0.0000  0.5000  0.2500  4 Er 3.62, 8 Pm 3.62
Er  0.0000  0.0000  0.5000  12 Pm 3.62

Results
The calculation puts the energy above the most stable polymorph in this dataset at 6 meV/atom. Its raw total energy is -30.60 eV per atom. As for the total moment: 0.0 μB/f.u.

18.
## Pm3Er (r2SCAN)

Data for a relaxed Pm3Er crystal.

Cell lengths 5.1165, 5.1165, 5.1165 Å; angles 90.00, 90.00, 90.00 degrees
Last column: nearest neighbours and their distance in Å.
Space group Pm-3m (No. 221)
Unique sites:
Pm  0.0000  0.0000  0.5000  4 Er 3.62, 8 Pm 3.62
Er  0.5000  0.5000  0.5000  12 Pm 3.62

Results
The calculation puts the energy above the most stable polymorph in this dataset at 10 meV/atom. Its raw total energy is -30.60 eV per atom. As for the total moment: 0.0 μB/f.u.

19.
## Pm3Er (r2SCAN)

Data for a relaxed Pm3Er crystal.

Cell lengths 7.4217, 7.4217, 5.7413 Å; angles 90.00, 90.00, 120.00 degrees
Last column: nearest neighbours and their distance in Å.
Space group P6_3/mmc (No. 194)
Unique sites:
Pm  0.1673  0.3346  0.2500  4 Er 3.58-3.71, 8 Pm 3.59-3.73
Er  0.3333  0.6667  0.7500  12 Pm 3.58-3.71

Results
The calculation puts the energy above the most stable polymorph in this dataset at 0 meV/atom. Its raw total energy is -30.61 eV per atom. As for the total moment: 0.0 μB/f.u.

20.
## PmEr3 (r2SCAN)

Data for a relaxed PmEr3 crystal.

Cell lengths 5.0118, 5.0118, 5.0118 Å; angles 90.00, 90.00, 90.00 degrees
Last column: nearest neighbours and their distance in Å.
Space group Pm-3m (No. 221)
Unique sites:
Pm  0.0000  0.0000  0.0000  12 Er 3.54
Er  0.0000  0.5000  0.5000  8 Er 3.54, 4 Pm 3.54

Results
The calculation puts the energy above the most stable polymorph in this dataset at 51 meV/atom. Its raw total energy is -32.77 eV per atom. As for the total moment: 0.5 μB/f.u.

21.
## PmEr3 (r2SCAN)

Data for a relaxed PmEr3 crystal.

Cell lengths 7.1976, 7.1976, 5.7563 Å; angles 90.00, 90.00, 120.00 degrees
Last column: nearest neighbours and their distance in Å.
Space group P6_3/mmc (No. 194)
Unique sites:
Pm  0.3333  0.6667  0.2500  12 Er 3.56-3.60
Er  0.1649  0.3299  0.7500  8 Er 3.54-3.64, 4 Pm 3.56-3.60

Results
The calculation puts the energy above the most stable polymorph in this dataset at 0 meV/atom. Its raw total energy is -32.82 eV per atom. As for the total moment: 2.4 μB/f.u.

22.
## PmErTl2 (r2SCAN)

Data for a relaxed PmErTl2 crystal.

Cell lengths 7.6009, 7.6009, 7.6009 Å; angles 90.00, 90.00, 90.00 degrees
Last column: nearest neighbours and their distance in Å.
Space group Fm-3m (No. 225)
Unique sites:
Pm  0.0000  0.0000  0.0000  8 Tl 3.29
Er  0.0000  0.0000  0.5000  8 Tl 3.29
Tl  0.2500  0.2500  0.2500  4 Pm 3.29, 4 Er 3.29

Results
Its raw total energy is -42.91 eV per atom. As for the total moment: 0.0 μB/f.u.

23.
## ErPt2 (r2SCAN)

Data for a relaxed ErPt2 crystal.

Cell lengths 7.6062, 7.6062, 7.6062 Å; angles 90.00, 90.00, 90.00 degrees
Last column: nearest neighbours and their distance in Å.
Space group Fd-3m (No. 227, origin choice 2)
Unique sites:
Er  0.1250  0.1250  0.1250  12 Pt 3.15, 4 Er 3.29
Pt  0.0000  0.0000  0.5000  6 Pt 2.69

Results
Its raw total energy is -46.84 eV per atom. As for the total moment: 0.0 μB/f.u.